1.
Here is U6Al43Cr4 after structural relaxation from Materials Project. Energies are from PBE.

Crystal system ... hexagonal

```
data_U6Al43Cr4
_cell_length_a 10.9109
_cell_length_b 10.9109
_cell_length_c 17.2977
_cell_angle_alpha 90.00
_cell_angle_beta 90.00
_cell_angle_gamma 120.00
_space_group_name_H-M_alt 'P 63/m c m'
_space_group_IT_number 193
_space_group_name_Hall '-P 6c 2'
loop_
_atom_site_label
_atom_site_type_symbol
_atom_site_fract_x
_atom_site_fract_y
_atom_site_fract_z
U1 U 0.0000 0.4772 0.0862
Al1 Al 0.0000 0.1468 0.7500
Al2 Al 0.0000 0.1579 0.1152
Al3 Al 0.0000 0.2510 0.5296
Al4 Al 0.1395 0.5458 0.2500
Al5 Al 0.1613 0.3926 0.6649
Al6 Al 0.2464 0.4929 0.0000
Al7 Al 0.3333 0.6667 0.1286
Cr1 Cr 0.0000 0.0000 0.0000
Cr2 Cr 0.0000 0.2660 0.2500
```

2.
Here is Y3Al28Cr8 after structural relaxation from Materials Project. Energies are from PBE.

Crystal system ... monoclinic

```
data_Y3Al28Cr8
_cell_length_a 5.1315
_cell_length_b 12.8062
_cell_length_c 19.1904
_cell_angle_alpha 90.00
_cell_angle_beta 97.35
_cell_angle_gamma 90.00
_space_group_name_H-M_alt 'C 1 2/m 1'
_space_group_IT_number 12
_space_group_name_Hall '-C 2y'
loop_
_atom_site_label
_atom_site_type_symbol
_atom_site_fract_x
_atom_site_fract_y
_atom_site_fract_z
Y1 Y 0.0000 0.0000 0.0000
Y2 Y 0.1659 0.5000 0.3337
Al1 Al 0.0000 0.0000 0.5000
Al2 Al 0.0000 0.5000 0.5000
Al3 Al 0.0252 0.3866 0.0718
Al4 Al 0.0644 0.1744 0.1109
Al5 Al 0.1024 0.3257 0.2223
Al6 Al 0.1421 0.1135 0.2607
Al7 Al 0.1667 0.0000 0.8338
Al8 Al 0.2029 0.1135 0.4024
Al9 Al 0.2206 0.3171 0.4444
Cr1 Cr 0.0845 0.2464 0.6670
Cr2 Cr 0.1658 0.5000 0.8327
Cr3 Cr 0.2500 0.2500 0.0000
```

Going through the records in order, we get energy of formation values of -153.6 -212.7 meV/atom.